1.
# Cs3Ta2S11

A relaxed structure of Cs3Ta2S11 (PBE, the Materials Project).

Results
calculated formation energy	-19.667	eV per formula unit
corrected total energy (MP2020 scheme)	-0.210	Ha/atom
VASP energy	-344.15	eV/cell

a b c (Å): 12.3268 8.3441 20.0822
angles (deg): 90.00 102.26 90.00
With the nearest neighbours (Å) after each atom.
Atoms (fractional coordinates):
Cs 0.0034 0.1817 0.3373  10 S 3.57-3.94
Cs 0.0034 0.3183 0.8373  10 S 3.57-3.94
Cs 0.2290 0.1873 0.1183  8 S 3.53-3.86
Cs 0.2290 0.3127 0.6183  8 S 3.53-3.86
Cs 0.4637 0.1594 0.3581  9 S 3.54-3.93
Cs 0.4637 0.3406 0.8581  9 S 3.54-3.93
Cs 0.5363 0.6594 0.1419  9 S 3.54-3.93
Cs 0.5363 0.8406 0.6419  9 S 3.54-3.93
Cs 0.7710 0.6873 0.3817  8 S 3.53-3.86
Cs 0.7710 0.8127 0.8817  8 S 3.53-3.86
Cs 0.9966 0.6817 0.1627  10 S 3.57-3.94
Cs 0.9966 0.8183 0.6627  10 S 3.57-3.94
Ta 0.1932 0.7218 0.9934  5 S 2.24-2.50
Ta 0.1932 0.7782 0.4934  5 S 2.24-2.50
Ta 0.2898 0.6434 0.3433  5 S 2.24-2.47
Ta 0.2898 0.8566 0.8433  5 S 2.24-2.47
Ta 0.7102 0.1434 0.1567  5 S 2.24-2.47
Ta 0.7102 0.3566 0.6567  5 S 2.24-2.47
Ta 0.8068 0.2218 0.5066  5 S 2.24-2.50
Ta 0.8068 0.2782 0.0066  5 S 2.24-2.50
S 0.0000 0.1222 0.5127  1 S 2.10
S 0.0000 0.3778 0.0127  1 S 2.10
S 0.0000 0.6222 0.9873  1 S 2.10
S 0.0000 0.8778 0.4873  1 S 2.10
S 0.0845 0.5295 0.4559  1 S 2.09
S 0.0845 0.9705 0.9559  1 S 2.09
S 0.1117 0.7261 0.8456  1 S 2.10
S 0.1117 0.7739 0.3456  1 S 2.10
S 0.2088 0.6135 0.7851  1 S 2.10
S 0.2088 0.8865 0.2851  1 S 2.10
S 0.2363 0.0635 0.7729  1 Ta 2.24
S 0.2363 0.4365 0.2729  1 Ta 2.24
S 0.2471 0.0510 0.4691  1 S 2.10
S 0.2471 0.4490 0.9691  1 S 2.10
S 0.2501 0.7453 0.6061  1 Ta 2.24
S 0.2501 0.7547 0.1061  1 Ta 2.24
S 0.2524 0.5144 0.4519  1 S 2.09
S 0.2524 0.9856 0.9519  1 S 2.09
S 0.3622 0.6287 0.9592  1 S 2.10
S 0.3622 0.8713 0.4592  1 S 2.10
S 0.4721 0.7184 0.3206  1 S 2.09
S 0.4721 0.7816 0.8206  1 S 2.09
S 0.4781 0.5771 0.4072  1 S 2.09
S 0.4781 0.9229 0.9072  1 S 2.09
S 0.5219 0.0771 0.0928  1 S 2.09
S 0.5219 0.4229 0.5928  1 S 2.09
S 0.5279 0.2184 0.1794  1 S 2.09
S 0.5279 0.2816 0.6794  1 S 2.09
S 0.6378 0.1287 0.5408  1 S 2.10
S 0.6378 0.3713 0.0408  1 S 2.10
S 0.7476 0.0144 0.0481  1 S 2.09
S 0.7476 0.4856 0.5481  1 S 2.09
S 0.7499 0.2453 0.8939  1 Ta 2.24
S 0.7499 0.2547 0.3939  1 Ta 2.24
S 0.7529 0.5510 0.0309  1 S 2.10
S 0.7529 0.9490 0.5309  1 S 2.10
S 0.7637 0.5635 0.7271  1 Ta 2.24
S 0.7637 0.9365 0.2271  1 Ta 2.24
S 0.7912 0.1135 0.7149  1 S 2.10
S 0.7912 0.3865 0.2149  1 S 2.10
S 0.8883 0.2261 0.6544  1 S 2.10
S 0.8883 0.2739 0.1544  1 S 2.10
S 0.9155 0.0295 0.0441  1 S 2.09
S 0.9155 0.4705 0.5441  1 S 2.09

---

2.
# Cs2TaS6

A relaxed structure of Cs2TaS6 (PBE, the Materials Project).

Results
calculated formation energy	-7.556	eV per formula unit
corrected total energy (MP2020 scheme)	-0.188	Ha/atom
magnetic moment	0.20	Bohr magnetons per cell
VASP energy	-43.00	eV/cell

a b c (Å): 8.0399 8.0399 4.8274
angles (deg): 90.00 90.00 120.00
With the nearest neighbours (Å) after each atom.
Atoms (fractional coordinates):
Cs 0.3333 0.6667 0.2246  6 S 3.55-3.69
Cs 0.6667 0.3333 0.7754  6 S 3.55-3.69
Ta 0.0000 0.0000 0.0000  6 S 2.41
S 0.1395 0.2790 0.7036  1 Ta 2.41
S 0.1395 0.8605 0.7036  1 Ta 2.41
S 0.2790 0.1395 0.2964  1 Ta 2.41
S 0.7210 0.8605 0.7036  1 Ta 2.41
S 0.8605 0.1395 0.2964  1 Ta 2.41
S 0.8605 0.7210 0.2964  1 Ta 2.41

---

3.
# CsTbS2

A relaxed structure of CsTbS2 (PBE, the Materials Project).

Results
calculated formation energy	-8.285	eV per formula unit
corrected total energy (MP2020 scheme)	-0.203	Ha/atom
VASP energy	-42.16	eV/cell

a b c (Å): 4.1195 4.1195 16.0850
angles (deg): 90.00 90.00 120.00
With the nearest neighbours (Å) after each atom.
Atoms (fractional coordinates):
Cs 0.3333 0.6667 0.2500  6 S 3.48
Cs 0.6667 0.3333 0.7500  6 S 3.48
Tb 0.0000 0.0000 0.0000  6 S 2.80
Tb 0.0000 0.0000 0.5000  6 S 2.80
S 0.3333 0.6667 0.5917  3 Tb 2.80
S 0.3333 0.6667 0.9083  3 Tb 2.80
S 0.6667 0.3333 0.0917  3 Tb 2.80
S 0.6667 0.3333 0.4083  3 Tb 2.80

---

4.
# CsTbS2

A relaxed structure of CsTbS2 (PBE, the Materials Project).

Results
calculated formation energy	-8.279	eV per formula unit
corrected total energy (MP2020 scheme)	-0.203	Ha/atom
VASP energy	-21.08	eV/cell

a b c (Å): 8.4095 8.4095 8.4095
angles (deg): 28.41 28.41 28.41
With the nearest neighbours (Å) after each atom.
Atoms (fractional coordinates):
Cs 0.0000 0.0000 0.0000  6 S 3.50
Tb 0.5000 0.5000 0.5000  6 S 2.80
S 0.2274 0.2274 0.2274  3 Tb 2.80
S 0.7726 0.7726 0.7726  3 Tb 2.80

---

5.
# Cs4Tc6S13

A relaxed structure of Cs4Tc6S13 (PBE, the Materials Project).

Results
calculated formation energy	-25.368	eV per formula unit
corrected total energy (MP2020 scheme)	-0.232	Ha/atom
VASP energy	-276.70	eV/cell

a b c (Å): 10.0583 10.0583 13.9337
angles (deg): 95.30 95.30 119.01
With the nearest neighbours (Å) after each atom.
Atoms (fractional coordinates):
Cs 0.1599 0.4133 0.5886  6 S 3.41-3.74
Cs 0.1839 0.2272 0.2887  6 S 3.37-3.69
Cs 0.2272 0.1839 0.7887  6 S 3.37-3.69
Cs 0.4133 0.1599 0.0886  6 S 3.41-3.74
Cs 0.5867 0.8401 0.9114  6 S 3.41-3.74
Cs 0.7728 0.8161 0.2113  6 S 3.37-3.69
Cs 0.8161 0.7728 0.7113  6 S 3.37-3.69
Cs 0.8401 0.5867 0.4114  6 S 3.41-3.74
Tc 0.0648 0.6533 0.1085  5 S 2.38-2.48, 4 Tc 2.63-2.65
Tc 0.0817 0.6490 0.9211  5 S 2.40-2.46, 4 Tc 2.62-2.63
Tc 0.1877 0.5035 0.0213  5 S 2.40-2.58, 4 Tc 2.62-2.65
Tc 0.3467 0.9352 0.3915  5 S 2.38-2.48, 4 Tc 2.63-2.65
Tc 0.3510 0.9183 0.5789  5 S 2.40-2.46, 4 Tc 2.62-2.63
Tc 0.4965 0.8123 0.4787  5 S 2.40-2.58, 4 Tc 2.62-2.65
Tc 0.5035 0.1877 0.5213  5 S 2.40-2.58, 4 Tc 2.62-2.65
Tc 0.6490 0.0817 0.4211  5 S 2.40-2.46, 4 Tc 2.62-2.63
Tc 0.6533 0.0648 0.6085  5 S 2.38-2.48, 4 Tc 2.63-2.65
Tc 0.8123 0.4965 0.9787  5 S 2.40-2.58, 4 Tc 2.62-2.65
Tc 0.9183 0.3510 0.0789  5 S 2.40-2.46, 4 Tc 2.62-2.63
Tc 0.9352 0.3467 0.8915  5 S 2.38-2.48, 4 Tc 2.63-2.65
S 0.0377 0.2251 0.9948  3 Tc 2.42-2.43
S 0.1413 0.8587 0.2500  2 Tc 2.48
S 0.1453 0.7798 0.6746  1 S 2.10
S 0.1558 0.5083 0.1904  3 Tc 2.38-2.41
S 0.1885 0.5033 0.8492  3 Tc 2.40-2.42
S 0.2202 0.8547 0.8254  1 S 2.10
S 0.2210 0.6963 0.4521  3 Tc 2.39-2.41
S 0.2251 0.0377 0.4948  3 Tc 2.42-2.43
S 0.3037 0.7790 0.0479  3 Tc 2.39-2.41
S 0.4518 0.5214 0.0607  1 S 2.13
S 0.4786 0.5482 0.4393  1 S 2.13
S 0.4917 0.8442 0.3096  3 Tc 2.38-2.41
S 0.4967 0.8115 0.6508  3 Tc 2.40-2.42
S 0.5033 0.1885 0.3492  3 Tc 2.40-2.42
S 0.5083 0.1558 0.6904  3 Tc 2.38-2.41
S 0.5214 0.4518 0.5607  1 S 2.13
S 0.5482 0.4786 0.9393  1 S 2.13
S 0.6963 0.2210 0.9521  3 Tc 2.39-2.41
S 0.7749 0.9623 0.5052  3 Tc 2.42-2.43
S 0.7790 0.3037 0.5479  3 Tc 2.39-2.41
S 0.7798 0.1453 0.1746  1 S 2.10
S 0.8115 0.4967 0.1508  3 Tc 2.40-2.42
S 0.8442 0.4917 0.8096  3 Tc 2.38-2.41
S 0.8547 0.2202 0.3254  1 S 2.10
S 0.8587 0.1413 0.7500  2 Tc 2.48
S 0.9623 0.7749 0.0052  3 Tc 2.42-2.43

---

6.
# Cs2TeS3

A relaxed structure of Cs2TeS3 (PBE, the Materials Project).

Results
calculated formation energy	-5.963	eV per formula unit
corrected total energy (MP2020 scheme)	-0.143	Ha/atom
magnetic moment	0.00	Bohr magnetons per cell
VASP energy	-174.38	eV/cell

a b c (Å): 10.2848 13.0431 17.6448
angles (deg): 90.00 124.50 90.00
With the nearest neighbours (Å) after each atom.
Atoms (fractional coordinates):
Cs 0.1193 0.1491 0.0988  7 S 3.57-3.91
Cs 0.1193 0.3509 0.5988  7 S 3.57-3.91
Cs 0.1684 0.1339 0.8486  7 S 3.54-3.79
Cs 0.1684 0.3661 0.3486  7 S 3.54-3.79
Cs 0.1969 0.5876 0.1233  7 S 3.52-3.86
Cs 0.1969 0.9124 0.6233  7 S 3.52-3.86
Cs 0.3776 0.7276 0.4160  6 S 3.56-3.92
Cs 0.3776 0.7724 0.9160  6 S 3.56-3.92
Cs 0.6224 0.2276 0.0840  6 S 3.56-3.92
Cs 0.6224 0.2724 0.5840  6 S 3.56-3.92
Cs 0.8031 0.0876 0.3767  7 S 3.52-3.86
Cs 0.8031 0.4124 0.8767  7 S 3.52-3.86
Cs 0.8316 0.6339 0.6514  7 S 3.54-3.79
Cs 0.8316 0.8661 0.1514  7 S 3.54-3.79
Cs 0.8807 0.6491 0.4012  7 S 3.57-3.91
Cs 0.8807 0.8509 0.9012  7 S 3.57-3.91
Te 0.2054 0.0358 0.3853  3 S 2.37
Te 0.2054 0.4642 0.8853  3 S 2.37
Te 0.4495 0.6097 0.6955  3 S 2.36-2.37
Te 0.4495 0.8903 0.1955  3 S 2.36-2.37
Te 0.5505 0.1097 0.8045  3 S 2.36-2.37
Te 0.5505 0.3903 0.3045  3 S 2.36-2.37
Te 0.7946 0.5358 0.1147  3 S 2.37
Te 0.7946 0.9642 0.6147  3 S 2.37
S 0.0028 0.6180 0.2490  1 Te 2.37
S 0.0028 0.8820 0.7490  1 Te 2.37
S 0.0784 0.6111 0.8938  1 Te 2.37
S 0.0784 0.8889 0.3938  1 Te 2.37
S 0.1980 0.6402 0.6664  1 Te 2.37
S 0.1980 0.8598 0.1664  1 Te 2.37
S 0.2492 0.1420 0.5066  1 Te 2.37
S 0.2492 0.3580 0.0066  1 Te 2.37
S 0.4004 0.5100 0.5696  1 Te 2.37
S 0.4004 0.9900 0.0696  1 Te 2.37
S 0.4632 0.2316 0.3249  1 Te 2.36
S 0.4632 0.2684 0.8249  1 Te 2.36
S 0.5368 0.7316 0.1751  1 Te 2.36
S 0.5368 0.7684 0.6751  1 Te 2.36
S 0.5996 0.0100 0.9304  1 Te 2.37
S 0.5996 0.4900 0.4304  1 Te 2.37
S 0.7508 0.6420 0.9934  1 Te 2.37
S 0.7508 0.8580 0.4934  1 Te 2.37
S 0.8020 0.1402 0.8336  1 Te 2.37
S 0.8020 0.3598 0.3336  1 Te 2.37
S 0.9216 0.1111 0.6062  1 Te 2.37
S 0.9216 0.3889 0.1062  1 Te 2.37
S 0.9972 0.1180 0.2510  1 Te 2.37
S 0.9972 0.3820 0.7510  1 Te 2.37

---

7.
# Cs4Ti3S14

A relaxed structure of Cs4Ti3S14 (PBE, the Materials Project).

Results
calculated formation energy	-28.465	eV per formula unit
corrected total energy (MP2020 scheme)	-0.199	Ha/atom
VASP energy	-213.20	eV/cell

a b c (Å): 11.7025 11.7025 14.2055
angles (deg): 112.99 112.99 43.32
With the nearest neighbours (Å) after each atom.
Atoms (fractional coordinates):
Cs 0.1178 0.4741 0.3858  7 S 3.45-3.81
Cs 0.1744 0.7008 0.8530  10 S 3.58-4.01
Cs 0.2992 0.8256 0.6470  10 S 3.58-4.01
Cs 0.4741 0.1178 0.8858  7 S 3.45-3.81
Cs 0.5259 0.8822 0.1142  7 S 3.45-3.81
Cs 0.7008 0.1744 0.3530  10 S 3.58-4.01
Cs 0.8256 0.2992 0.1470  10 S 3.58-4.01
Cs 0.8822 0.5259 0.6142  7 S 3.45-3.81
Ti 0.0890 0.5765 0.0822  6 S 2.29-2.51
Ti 0.2639 0.7361 0.2500  8 S 2.44-2.61
Ti 0.4235 0.9110 0.4178  6 S 2.29-2.51
Ti 0.5765 0.0890 0.5822  6 S 2.29-2.51
Ti 0.7361 0.2639 0.7500  8 S 2.44-2.61
Ti 0.9110 0.4235 0.9178  6 S 2.29-2.51
S 0.0316 0.8302 0.0869  1 S 2.08
S 0.0623 0.4940 0.9059  2 Ti 2.29-2.51
S 0.0730 0.7356 0.2802  1 S 2.08
S 0.1191 0.1725 0.3989  1 S 2.08
S 0.1698 0.9684 0.4131  1 S 2.08
S 0.1725 0.1191 0.8989  1 S 2.08
S 0.2644 0.9270 0.2198  1 S 2.08
S 0.3013 0.6197 0.3823  1 S 2.08
S 0.3231 0.3342 0.6560  1 S 2.07
S 0.3342 0.3231 0.1560  1 S 2.07
S 0.3803 0.6987 0.1177  1 S 2.08
S 0.3862 0.4440 0.1314  1 S 2.07
S 0.4440 0.3862 0.6314  1 S 2.07
S 0.4940 0.0623 0.4059  2 Ti 2.29-2.51
S 0.5060 0.9377 0.5941  2 Ti 2.29-2.51
S 0.5560 0.6138 0.3686  1 S 2.07
S 0.6138 0.5560 0.8686  1 S 2.07
S 0.6197 0.3013 0.8823  1 S 2.08
S 0.6658 0.6769 0.8440  1 S 2.07
S 0.6769 0.6658 0.3440  1 S 2.07
S 0.6987 0.3803 0.6177  1 S 2.08
S 0.7356 0.0730 0.7802  1 S 2.08
S 0.8275 0.8809 0.1011  1 S 2.08
S 0.8302 0.0316 0.5869  1 S 2.08
S 0.8809 0.8275 0.6011  1 S 2.08
S 0.9270 0.2644 0.7198  1 S 2.08
S 0.9377 0.5060 0.0941  2 Ti 2.29-2.51
S 0.9684 0.1698 0.9131  1 S 2.08

---

8.
# Cs3VS4

A relaxed structure of Cs3VS4 (PBE, the Materials Project).

Results
calculated formation energy	-11.599	eV per formula unit
corrected total energy (MP2020 scheme)	-0.183	Ha/atom
VASP energy	-151.61	eV/cell

a b c (Å): 9.9087 11.7433 9.9637
angles (deg): 90.00 90.00 90.00
With the nearest neighbours (Å) after each atom.
Atoms (fractional coordinates):
Cs 0.0443 0.0430 0.2088  7 S 3.48-3.74
Cs 0.0443 0.4570 0.2088  7 S 3.48-3.74
Cs 0.1499 0.7500 0.4124  5 S 3.56-3.70
Cs 0.3501 0.2500 0.9124  5 S 3.56-3.70
Cs 0.4557 0.5430 0.7088  7 S 3.48-3.74
Cs 0.4557 0.9570 0.7088  7 S 3.48-3.74
Cs 0.5443 0.0430 0.2912  7 S 3.48-3.74
Cs 0.5443 0.4570 0.2912  7 S 3.48-3.74
Cs 0.6499 0.7500 0.0876  5 S 3.56-3.70
Cs 0.8501 0.2500 0.5876  5 S 3.56-3.70
Cs 0.9557 0.5430 0.7912  7 S 3.48-3.74
Cs 0.9557 0.9570 0.7912  7 S 3.48-3.74
V 0.2230 0.7500 0.9822  4 S 2.16-2.17
V 0.2770 0.2500 0.4822  4 S 2.16-2.17
V 0.7230 0.7500 0.5178  4 S 2.16-2.17
V 0.7770 0.2500 0.0178  4 S 2.16-2.17
S 0.0199 0.7500 0.0644  1 V 2.17
S 0.1725 0.0976 0.5455  1 V 2.16
S 0.1725 0.4024 0.5455  1 V 2.16
S 0.2109 0.7500 0.7645  1 V 2.17
S 0.2891 0.2500 0.2645  1 V 2.17
S 0.3275 0.5976 0.0455  1 V 2.16
S 0.3275 0.9024 0.0455  1 V 2.16
S 0.4801 0.2500 0.5644  1 V 2.17
S 0.5199 0.7500 0.4356  1 V 2.17
S 0.6725 0.0976 0.9545  1 V 2.16
S 0.6725 0.4024 0.9545  1 V 2.16
S 0.7109 0.7500 0.7355  1 V 2.17
S 0.7891 0.2500 0.2355  1 V 2.17
S 0.8275 0.5976 0.4545  1 V 2.16
S 0.8275 0.9024 0.4545  1 V 2.16
S 0.9801 0.2500 0.9356  1 V 2.17